[1]
Below is an optimized crystal structure of UH14C6N6O12, with properties calculated at the PBE level.

a = 7.350 Å, b = 11.422 Å, c = 11.843 Å
α = 90.00°, β = 114.92°, γ = 90.00°
Space group Pc (No. 7)
One atom of each set of equivalent atoms:
U (0.000, 0.195, 0.000)
H (0.062, 0.068, 0.456)
H (0.195, 0.492, 0.616)
H (0.244, 0.399, 0.513)
H (0.290, 0.436, 0.822)
H (0.356, 0.210, 0.577)
H (0.392, 0.295, 0.871)
H (0.450, 0.172, 0.734)
H (0.575, 0.168, 0.269)
H (0.609, 0.294, 0.128)
H (0.643, 0.212, 0.421)
H (0.713, 0.435, 0.176)
H (0.756, 0.399, 0.485)
H (0.804, 0.492, 0.382)
H (0.939, 0.068, 0.541)
C (0.137, 0.210, 0.300)
C (0.153, 0.340, 0.264)
C (0.329, 0.335, 0.690)
C (0.670, 0.336, 0.308)
C (0.849, 0.339, 0.734)
C (0.862, 0.209, 0.697)
N (0.253, 0.415, 0.600)
N (0.335, 0.356, 0.803)
N (0.403, 0.235, 0.668)
N (0.595, 0.235, 0.330)
N (0.666, 0.356, 0.195)
N (0.744, 0.416, 0.397)
O (0.001, 0.017, 0.499)
O (0.087, 0.140, 0.208)
O (0.097, 0.356, 0.146)
O (0.169, 0.184, 0.409)
O (0.216, 0.418, 0.346)
O (0.259, 0.196, 0.018)
O (0.592, 0.035, 0.161)
O (0.739, 0.197, 0.979)
O (0.786, 0.416, 0.652)
O (0.834, 0.184, 0.589)
O (0.904, 0.137, 0.788)
O (0.905, 0.355, 0.852)

---

[2]
Below is an optimized crystal structure of YH9C5N2O8, with properties calculated at the PBE level.

a = 11.348 Å, b = 7.336 Å, c = 6.664 Å
α = 90.00°, β = 108.15°, γ = 90.00°
Space group C2 (No. 5)
One atom of each set of equivalent atoms:
Y (0.000, 0.000, 0.000)
H (0.000, 0.916, 0.500)
H (0.011, 0.546, 0.182)
H (0.128, 0.393, 0.464)
H (0.188, 0.344, 0.875)
H (0.221, 0.584, 0.580)
C (0.000, 0.066, 0.500)
C (0.088, 0.623, 0.293)
C (0.237, 0.290, 0.035)
N (0.152, 0.526, 0.458)
O (0.004, 0.147, 0.333)
O (0.109, 0.787, 0.262)
O (0.152, 0.836, 0.877)
O (0.174, 0.185, 0.117)

---

[3]
Below is an optimized crystal structure of ZnH9C4NO6, with properties calculated at the PBE level.

a = 8.520 Å, b = 11.886 Å, c = 8.260 Å
α = 90.00°, β = 90.00°, γ = 90.00°
Space group Pnma (No. 62)
One atom of each set of equivalent atoms:
Zn (0.000, 0.000, 0.000)
H (0.016, 0.250, 0.072)
H (0.087, 0.250, 0.348)
H (0.089, 0.750, 0.342)
H (0.138, 0.175, 0.528)
H (0.146, 0.679, 0.511)
H (0.214, 0.535, 0.285)
C (0.013, 0.750, 0.058)
C (0.081, 0.250, 0.480)
C (0.219, 0.531, 0.719)
N (0.086, 0.750, 0.468)
O (0.030, 0.656, 0.129)
O (0.096, 0.570, 0.782)
O (0.227, 0.063, 0.082)

---

Listing calculated volume for the structures above in their given order: 901.57 527.15 836.51 Å³/cell.
Listing VASP energy for the structures above in their given order: -6.57 -6.58 -5.84 eV/atom.